Here is a relaxed CoSeO5 crystal from the Materials Project. Energies are from GGA+U.

- space group = No. 14
- E (eV per atom) = -5.043
- size of the total moment (μB per atom) = 0.7144
- energy above the lowest structure with this stoichiometry (eV per atom) = 0.174
- calculated formation energy (eV/atom) = -0.72

Cell lengths 8.4775, 6.7781, 9.0587 Å; angles 50.01, 90.00, 90.00 degrees
With the nearest neighbours (Å) after each atom.
Positions (direct):
Se 0.8715 0.2251 0.1816  3 O 1.72-1.77
Se 0.6285 0.2251 0.6816  3 O 1.72-1.77
Se 0.3715 0.7749 0.3184  3 O 1.72-1.77
Se 0.1285 0.7749 0.8184  3 O 1.72-1.77
O 0.0746 0.8465 0.9686  1 Se 1.77, 1 Co 1.98
O 0.1625 0.1728 0.4142  1 Co 1.67
O 0.6830 0.5396 0.5013  1 Se 1.72
O 0.6625 0.8272 0.0858  1 Co 1.67
O 0.3140 0.9231 0.7422  1 Se 1.75, 1 Co 1.90
O 0.8140 0.0769 0.7578  1 Se 1.75, 1 Co 1.90
O 0.4036 0.3917 0.2376  1 Co 1.70
O 0.6860 0.0769 0.2578  1 Se 1.75, 1 Co 1.90
O 0.9254 0.1535 0.0314  1 Se 1.77, 1 Co 1.98
O 0.5746 0.1535 0.5314  1 Se 1.77, 1 Co 1.98
O 0.0964 0.3917 0.7376  1 Co 1.70
O 0.3170 0.4604 0.4987  1 Se 1.72
O 0.1830 0.4604 0.9987  1 Se 1.72
O 0.1860 0.9231 0.2422  1 Se 1.75, 1 Co 1.90
O 0.5964 0.6083 0.7624  1 Co 1.70
O 0.8170 0.5396 0.0013  1 Se 1.72
O 0.9036 0.6083 0.2624  1 Co 1.70
O 0.3375 0.1728 0.9142  1 Co 1.67
O 0.8375 0.8272 0.5858  1 Co 1.67
O 0.4254 0.8465 0.4686  1 Se 1.77, 1 Co 1.98
Co 0.3469 0.1839 0.4728  2 O 1.67-1.70
Co 0.1531 0.1839 0.9728  2 O 1.67-1.70
Co 0.8469 0.8161 0.0272  2 O 1.67-1.70
Co 0.6531 0.8161 0.5272  2 O 1.67-1.70